1.
This record from Materials Project describes In5Si2N6 after structural relaxation. The functional is meta-GGA r2SCAN.

abc: 5.889 7.373 11.622
angles: 90.00 95.87 128.76
Fractional positions:
N (0.599, 0.178, 0.566)
N (0.658, 0.464, 0.803)
N (0.342, 0.805, 0.697)
In (0.175, 0.330, 0.511)
N (0.401, 0.580, 0.934)
N (0.852, 0.931, 0.121)
N (0.342, 0.536, 0.197)
In (0.000, 0.459, 0.750)
Si (0.553, 0.637, 0.082)
In (0.000, 0.541, 0.250)
In (0.309, 0.093, 0.707)
Si (0.447, 0.084, 0.418)
In (0.691, 0.784, 0.793)
In (0.175, 0.845, 0.011)
Si (0.447, 0.363, 0.918)
In (0.691, 0.907, 0.293)
N (0.658, 0.195, 0.303)
Si (0.553, 0.916, 0.582)
In (0.309, 0.216, 0.207)
N (0.148, 0.079, 0.379)
N (0.599, 0.420, 0.066)
N (0.852, 0.921, 0.621)
In (0.825, 0.155, 0.989)
N (0.401, 0.822, 0.434)
In (0.825, 0.670, 0.489)
N (0.148, 0.069, 0.879)

The formation energy is -1.62 eV/f.u.

***

2.
This record from Materials Project describes Sr4In2N after structural relaxation. The functional is meta-GGA r2SCAN.

abc: 15.774 15.774 15.774
angles: 160.84 160.84 27.22
Fractional positions:
N (0.750, 0.250, 0.500)
Sr (0.000, 0.500, 0.500)
In (0.591, 0.591, 0.000)
Sr (0.918, 0.918, 0.000)
In (0.159, 0.659, 0.500)
N (0.000, 0.000, 0.000)
In (0.341, 0.841, 0.500)
Sr (0.250, 0.250, 0.000)
Sr (0.500, 0.000, 0.500)
Sr (0.082, 0.082, 0.000)
Sr (0.750, 0.750, 0.000)
Sr (0.668, 0.168, 0.500)
In (0.409, 0.409, 0.000)
Sr (0.832, 0.332, 0.500)

The formation energy is -4.40 eV/f.u.

***

3.
This record from Materials Project describes Tm3InN after structural relaxation. The functional is meta-GGA r2SCAN.

abc: 4.701 4.701 4.701
angles: 90.00 90.00 90.00
Fractional positions:
Tm (0.500, 0.000, 0.500)
Tm (0.500, 0.500, 0.000)
Tm (0.000, 0.500, 0.500)
N (0.500, 0.500, 0.500)
In (0.000, 0.000, 0.000)

The formation energy is -6.12 eV/f.u.

***

4.
This record from Materials Project describes Zr2InN after structural relaxation. The functional is meta-GGA r2SCAN.

abc: 3.290 3.290 14.931
angles: 90.00 90.00 120.00
Fractional positions:
In (0.333, 0.667, 0.750)
Zr (0.333, 0.667, 0.084)
Zr (0.667, 0.333, 0.584)
N (0.000, 0.000, 0.500)
In (0.667, 0.333, 0.250)
Zr (0.667, 0.333, 0.916)
Zr (0.333, 0.667, 0.416)
N (0.000, 0.000, 0.000)

The formation energy is -4.98 eV/f.u.

***

5.
This record from Materials Project describes Na3In after structural relaxation. The functional is meta-GGA r2SCAN.

abc: 5.502 5.502 5.502
angles: 60.00 60.00 60.00
Fractional positions:
Na (0.750, 0.750, 0.750)
Na (0.250, 0.250, 0.250)
In (0.000, 0.000, 0.000)
Na (0.500, 0.500, 0.500)

The formation energy is -0.33 eV/f.u.

***

6.
This record from Materials Project describes Na3In after structural relaxation. The functional is meta-GGA r2SCAN.

abc: 6.000 6.000 6.000
angles: 132.23 132.23 69.87
Fractional positions:
Na (0.250, 0.750, 0.500)
In (0.000, 0.000, 0.000)
Na (0.750, 0.250, 0.500)
Na (0.500, 0.500, 0.000)

The formation energy is -0.37 eV/f.u.

***

7.
This record from Materials Project describes NaInP2O7 after structural relaxation. The functional is meta-GGA r2SCAN.

abc: 8.144 7.493 9.853
angles: 67.77 90.00 90.00
Fractional positions:
O (0.832, 0.871, 0.564)
O (0.912, 0.541, 0.641)
O (0.873, 0.175, 0.595)
O (0.391, 0.378, 0.393)
P (0.718, 0.672, 0.046)
O (0.274, 0.820, 0.626)
O (0.588, 0.033, 0.625)
P (0.782, 0.672, 0.546)
O (0.088, 0.459, 0.359)
O (0.373, 0.825, 0.905)
O (0.215, 0.299, 0.614)
O (0.588, 0.541, 0.141)
O (0.109, 0.378, 0.893)
O (0.412, 0.967, 0.375)
O (0.912, 0.033, 0.125)
O (0.726, 0.180, 0.374)
P (0.752, 0.075, 0.038)
P (0.248, 0.925, 0.962)
O (0.715, 0.701, 0.886)
O (0.226, 0.820, 0.126)
Na (0.980, 0.284, 0.216)
O (0.285, 0.299, 0.114)
O (0.774, 0.180, 0.874)
O (0.332, 0.129, 0.936)
O (0.627, 0.175, 0.095)
O (0.127, 0.825, 0.405)
P (0.748, 0.075, 0.538)
P (0.282, 0.328, 0.954)
P (0.252, 0.925, 0.462)
Na (0.480, 0.716, 0.284)
In (0.496, 0.746, 0.750)
P (0.218, 0.328, 0.454)
In (0.004, 0.746, 0.250)
O (0.412, 0.459, 0.859)
O (0.168, 0.129, 0.436)
In (0.503, 0.254, 0.250)
O (0.785, 0.701, 0.386)
In (0.996, 0.254, 0.750)
O (0.609, 0.622, 0.607)
O (0.891, 0.622, 0.107)
O (0.088, 0.967, 0.875)
Na (0.020, 0.716, 0.784)
Na (0.520, 0.284, 0.716)
O (0.668, 0.871, 0.064)

The formation energy is -26.21 eV/f.u.

***

8.
This record from Materials Project describes Na3InP2 after structural relaxation. The functional is meta-GGA r2SCAN.

abc: 7.319 9.389 15.288
angles: 87.36 90.00 90.00
Fractional positions:
Na (0.992, 0.440, 0.395)
P (0.760, 0.875, 0.706)
P (0.782, 0.126, 0.476)
Na (0.492, 0.560, 0.105)
In (0.358, 0.126, 0.959)
In (0.858, 0.874, 0.541)
Na (0.346, 0.616, 0.455)
P (0.737, 0.652, 0.458)
P (0.718, 0.126, 0.976)
Na (0.531, 0.188, 0.150)
Na (0.654, 0.384, 0.545)
P (0.237, 0.348, 0.042)
Na (0.031, 0.812, 0.350)
Na (0.496, 0.321, 0.363)
In (0.154, 0.364, 0.210)
Na (0.348, 0.876, 0.204)
Na (0.022, 0.066, 0.106)
P (0.207, 0.593, 0.775)
Na (0.508, 0.440, 0.895)
P (0.263, 0.348, 0.542)
In (0.654, 0.636, 0.290)
In (0.846, 0.636, 0.790)
P (0.763, 0.652, 0.958)
Na (0.152, 0.876, 0.704)
Na (0.652, 0.124, 0.796)
Na (0.846, 0.384, 0.045)
Na (0.522, 0.934, 0.394)
Na (0.969, 0.188, 0.650)
Na (0.154, 0.616, 0.955)
P (0.293, 0.593, 0.275)
Na (0.008, 0.560, 0.605)
Na (0.978, 0.934, 0.894)
P (0.240, 0.125, 0.294)
P (0.707, 0.407, 0.725)
P (0.282, 0.874, 0.024)
Na (0.004, 0.321, 0.863)
P (0.218, 0.874, 0.524)
P (0.793, 0.407, 0.225)
In (0.642, 0.874, 0.041)
Na (0.504, 0.679, 0.637)
Na (0.848, 0.124, 0.296)
Na (0.996, 0.679, 0.137)
P (0.740, 0.875, 0.206)
P (0.260, 0.125, 0.794)
In (0.346, 0.364, 0.710)
Na (0.469, 0.812, 0.850)
In (0.142, 0.126, 0.459)
Na (0.478, 0.066, 0.606)

The formation energy is -3.18 eV/f.u.

***

9.
This record from Materials Project describes Na2In2SiS6 after structural relaxation. The functional is meta-GGA r2SCAN.

abc: 7.216 7.216 12.294
angles: 74.31 74.31 65.54
Fractional positions:
Na (0.527, 0.909, 0.837)
Si (0.073, 0.508, 0.750)
In (0.622, 0.449, 0.693)
S (0.975, 0.463, 0.931)
S (0.697, 0.253, 0.201)
S (0.616, 0.213, 0.879)
S (0.217, 0.219, 0.196)
S (0.294, 0.740, 0.020)
In (0.411, 0.294, 0.497)
S (0.213, 0.616, 0.379)
S (0.689, 0.806, 0.170)
S (0.806, 0.689, 0.670)
S (0.463, 0.975, 0.431)
S (0.219, 0.217, 0.696)
S (0.740, 0.294, 0.520)
Na (0.072, 0.924, 0.506)
In (0.449, 0.622, 0.193)
S (0.253, 0.697, 0.701)
Si (0.508, 0.073, 0.250)
Na (0.924, 0.072, 0.006)
In (0.294, 0.411, 0.997)
Na (0.909, 0.527, 0.337)

The formation energy is -11.18 eV/f.u.

***

10.
This record from Materials Project describes NaInSn2 after structural relaxation. The functional is meta-GGA r2SCAN.

abc: 6.354 6.565 11.518
angles: 90.00 90.00 90.00
Fractional positions:
In (0.101, 0.590, 0.611)
In (0.899, 0.090, 0.889)
Sn (0.229, 0.230, 0.736)
Sn (0.771, 0.730, 0.764)
Na (0.885, 0.620, 0.065)
Na (0.385, 0.880, 0.935)
Sn (0.933, 0.613, 0.378)
Na (0.115, 0.120, 0.435)
Sn (0.067, 0.113, 0.122)
Sn (0.567, 0.387, 0.878)
Sn (0.271, 0.770, 0.236)
In (0.601, 0.910, 0.389)
Na (0.615, 0.380, 0.565)
Sn (0.433, 0.887, 0.622)
In (0.399, 0.410, 0.111)
Sn (0.729, 0.270, 0.264)

The formation energy is -0.86 eV/f.u.

***

11.
This record from Materials Project describes NbInO4 after structural relaxation. The functional is meta-GGA r2SCAN.

abc: 4.879 5.185 5.830
angles: 90.00 90.00 90.86
Fractional positions:
O (0.261, 0.403, 0.617)
Nb (0.000, 0.750, 0.179)
O (0.739, 0.097, 0.617)
Nb (0.000, 0.250, 0.821)
O (0.784, 0.063, 0.103)
O (0.261, 0.903, 0.383)
In (0.500, 0.750, 0.681)
O (0.216, 0.437, 0.103)
O (0.739, 0.597, 0.383)
O (0.216, 0.937, 0.897)
O (0.784, 0.563, 0.897)
In (0.500, 0.250, 0.319)

The formation energy is -14.55 eV/f.u.

***

12.
This record from Materials Project describes NbInSe2 after structural relaxation. The functional is meta-GGA r2SCAN.

abc: 3.460 3.460 9.308
angles: 90.00 90.00 120.00
Fractional positions:
Se (0.000, 0.000, 0.679)
In (0.000, 0.000, 0.000)
Se (0.000, 0.000, 0.321)
Nb (0.333, 0.667, 0.500)

The formation energy is -3.18 eV/f.u.

***

13.
This record from Materials Project describes NbInSe2 after structural relaxation. The functional is meta-GGA r2SCAN.

abc: 3.510 3.510 8.471
angles: 90.00 90.00 120.00
Fractional positions:
Nb (0.000, 0.000, 0.500)
Se (0.333, 0.667, 0.697)
In (0.000, 0.000, 0.000)
Se (0.333, 0.667, 0.303)

The formation energy is -3.13 eV/f.u.

***

14.
This record from Materials Project describes Nd3In5 after structural relaxation. The functional is meta-GGA r2SCAN.

abc: 6.566 6.566 10.530
angles: 90.00 90.00 101.56
Fractional positions:
Nd (0.367, 0.367, 0.750)
In (0.502, 0.080, 0.250)
Nd (0.798, 0.202, 0.500)
In (0.014, 0.014, 0.250)
In (0.310, 0.310, 0.050)
In (0.690, 0.690, 0.950)
In (0.310, 0.310, 0.450)
In (0.986, 0.986, 0.750)
In (0.920, 0.498, 0.750)
In (0.498, 0.920, 0.750)
Nd (0.633, 0.633, 0.250)
Nd (0.202, 0.798, 0.000)
Nd (0.798, 0.202, 0.000)
Nd (0.202, 0.798, 0.500)
In (0.690, 0.690, 0.550)
In (0.080, 0.502, 0.250)

The formation energy is -5.33 eV/f.u.

***

15.
This record from Materials Project describes NdInNi after structural relaxation. The functional is meta-GGA r2SCAN.

abc: 7.572 7.572 3.872
angles: 90.00 90.00 120.00
Fractional positions:
Ni (0.667, 0.333, 0.000)
Nd (0.416, 0.416, 0.500)
Ni (0.000, 0.000, 0.500)
In (0.247, 0.000, 0.000)
In (0.000, 0.247, 0.000)
Nd (0.584, 0.000, 0.500)
In (0.753, 0.753, 0.000)
Nd (0.000, 0.584, 0.500)
Ni (0.333, 0.667, 0.000)

The formation energy is -1.49 eV/f.u.

***

16.
This record from Materials Project describes Nd2InNi2 after structural relaxation. The functional is meta-GGA r2SCAN.

abc: 3.790 7.520 7.520
angles: 90.00 90.00 90.00
Fractional positions:
Nd (0.500, 0.323, 0.177)
Nd (0.500, 0.823, 0.323)
In (0.000, 0.500, 0.500)
Ni (0.000, 0.381, 0.884)
Ni (0.000, 0.881, 0.616)
Nd (0.500, 0.677, 0.823)
Ni (0.000, 0.619, 0.116)
Nd (0.500, 0.177, 0.677)
Ni (0.000, 0.119, 0.384)
In (0.000, 0.000, 0.000)

The formation energy is -2.17 eV/f.u.

***

17.
This record from Materials Project describes NdIn2Pd after structural relaxation. The functional is meta-GGA r2SCAN.

abc: 10.970 10.970 10.974
angles: 100.29 100.29 130.01
Fractional positions:
In (0.646, 0.646, 0.733)
Pd (0.302, 0.302, 0.679)
In (0.227, 0.015, 0.492)
Nd (0.611, 0.891, 0.280)
Pd (0.971, 0.753, 0.782)
Pd (0.189, 0.971, 0.218)
In (0.015, 0.227, 0.492)
Nd (0.611, 0.331, 0.720)
Pd (0.623, 0.623, 0.321)
In (0.136, 0.518, 0.383)
In (0.523, 0.735, 0.508)
Nd (0.923, 0.328, 0.000)
Nd (0.536, 0.536, 0.000)
In (0.444, 0.280, 0.163)
Nd (0.328, 0.923, 0.000)
Nd (0.891, 0.611, 0.280)
Pd (0.383, 0.883, 0.500)
In (0.912, 0.912, 0.267)
Pd (0.971, 0.189, 0.218)
In (0.016, 0.523, 0.788)
Nd (0.005, 0.005, 0.000)
Pd (0.623, 0.303, 0.000)
In (0.117, 0.280, 0.837)
In (0.752, 0.135, 0.617)
Nd (0.331, 0.611, 0.720)
Pd (0.303, 0.623, 0.000)
In (0.227, 0.734, 0.211)
In (0.280, 0.444, 0.163)
In (0.734, 0.227, 0.211)
In (0.523, 0.016, 0.788)
In (0.280, 0.117, 0.837)
In (0.518, 0.136, 0.383)
Nd (0.328, 0.328, 0.405)
Nd (0.923, 0.923, 0.595)
In (0.646, 0.913, 0.000)
In (0.135, 0.752, 0.617)
In (0.913, 0.646, 0.000)
Pd (0.883, 0.383, 0.500)
In (0.735, 0.523, 0.508)
Pd (0.753, 0.971, 0.782)

The formation energy is -3.04 eV/f.u.